Entry 1:
An optimized crystal structure of EuCN2, computed with PBE.

extended XYZ file:
```
16
Lattice="0.000 -3.930 0.000 -12.343 0.000 0.000 0.000 0.000 -5.408" Properties=species:S:1:pos:R:3 pbc="T T T"
C -10.828 -2.948 -3.347
N -0.943 -0.983 -0.960
C -7.687 -0.983 -0.643
N -5.229 -2.948 -3.664
Eu -1.613 -2.948 -4.775
C -4.656 -2.948 -4.765
N -8.287 -0.983 -4.963
Eu -7.785 -2.948 -3.338
N -2.115 -0.983 -3.150
Eu -4.558 -0.983 -2.070
N -11.400 -2.948 -4.448
N -10.228 -2.948 -2.259
N -7.114 -0.983 -1.744
N -4.056 -2.948 -0.445
Eu -10.730 -0.983 -0.634
C -1.515 -0.983 -2.061
```

Entry 2:
An optimized crystal structure of MgH10SO9, computed with PBE.

extended XYZ file:
```
42
Lattice="6.259 0.000 0.000 1.580 6.236 0.000 0.769 2.937 10.076" Properties=species:S:1:pos:R:3 pbc="T T T"
H 2.676 4.776 10.062
S 3.380 5.583 2.875
H 4.537 1.804 1.215
O 3.286 6.953 3.491
O 2.469 4.644 3.582
Mg 0.000 0.000 0.000
O 5.736 6.757 8.724
H 5.843 5.786 8.638
H 3.016 5.506 6.592
S 5.227 3.590 7.201
O 3.808 4.048 7.075
H 5.836 5.060 1.444
O 2.138 4.337 9.352
H 2.765 3.387 1.438
O 6.298 2.965 3.551
H 5.592 3.667 3.484
H 5.937 6.222 3.984
O 6.850 6.418 4.290
O 2.872 2.416 1.352
O 6.470 4.836 0.724
H 5.932 4.397 0.014
O 5.471 1.474 1.238
H 5.884 1.896 2.025
O 3.137 7.699 8.838
H 7.399 5.636 4.013
H 2.771 4.113 8.632
H 4.071 7.369 8.862
O 5.571 3.537 8.646
O 1.758 2.755 5.786
O 4.800 5.125 3.001
O 6.139 4.529 6.494
O 5.322 2.220 6.585
H 6.108 7.161 7.905
O 3.037 5.636 1.431
H 1.208 3.537 6.063
H 2.670 2.951 6.092
H 2.500 2.012 2.171
H 2.724 7.276 8.051
O 2.310 6.208 6.525
H 7.722 5.717 6.638
Mg 0.384 1.468 5.038
H 0.886 3.456 3.438
```

Entry 3:
An optimized crystal structure of Na2TiZn3S6O24, computed with PBE.

extended XYZ file:
```
108
Lattice="-6.547 -0.896 -5.604 -0.446 -3.718 7.813 -9.680 18.655 8.324" Properties=species:S:1:pos:R:3 pbc="T T T"
S -7.569 11.342 11.762
Ti -2.680 -2.390 3.514
Zn -6.328 1.662 0.430
S -11.473 13.231 13.244
O -2.174 2.825 3.147
O -3.546 -0.131 8.176
O -4.882 -0.636 -2.518
O -6.975 10.724 3.981
O -11.202 10.548 9.889
O -7.201 2.003 2.316
Zn -7.501 6.901 7.660
Na -4.156 0.454 4.783
Ti -8.200 15.802 7.051
O -12.178 9.460 0.762
O -10.344 13.243 14.238
O -9.559 12.135 8.244
O -7.364 -0.194 0.187
O -9.917 7.225 4.801
O -6.113 -2.278 -0.267
O -12.959 11.242 5.725
O -14.458 13.182 9.592
O -10.854 7.982 2.016
O -9.145 14.194 6.967
O -8.154 8.935 3.020
S -8.548 3.618 7.460
S -4.574 5.244 8.435
O -7.677 -2.248 1.519
O -6.236 0.861 -3.771
O -12.035 13.260 9.281
O -10.438 12.436 5.981
O -11.763 14.692 12.951
O -9.920 5.191 2.702
O -8.427 6.745 0.956
O -12.363 8.689 8.978
S -13.256 14.049 9.337
O -3.365 -1.015 0.096
Zn -11.063 10.787 4.501
Zn -9.224 7.242 2.920
O -7.998 2.741 -0.265
S -2.558 3.579 4.354
O -8.560 5.077 7.431
O -4.554 4.263 7.343
Ti -3.430 6.610 2.950
O -2.184 0.808 1.058
O -14.754 15.153 5.609
O -3.251 -0.819 2.521
O -4.360 -2.271 4.485
O -6.076 4.641 4.725
O -9.358 11.056 3.535
O -4.242 5.398 1.584
O -11.105 12.515 12.032
O -6.269 1.747 4.565
Na -12.558 13.669 5.788
S -8.102 10.410 3.064
O -14.559 11.145 7.505
O -8.305 7.273 9.534
O -8.039 12.073 6.422
O -4.440 4.459 9.766
Na -0.026 0.049 0.022
S -3.383 -0.033 1.188
O -8.699 11.428 10.829
S -6.382 6.060 4.504
O -4.883 1.394 6.967
S -9.295 12.623 6.885
O -7.295 9.950 12.045
O -6.740 8.815 7.900
Na -4.889 9.422 4.204
Na -7.758 4.417 1.659
O -13.221 15.032 10.493
S -7.354 -1.658 0.212
S -7.373 1.392 3.656
O -13.209 14.197 2.235
O -9.678 3.208 6.479
Zn -5.558 3.157 5.989
O -11.897 12.738 3.609
O -1.939 -1.171 4.833
O -9.101 16.247 8.952
S -5.189 0.782 -2.741
O -5.520 3.583 0.729
O -6.660 6.829 5.713
Zn -14.036 16.517 7.058
O -5.109 6.723 3.915
O -9.182 7.937 7.027
O -13.410 14.759 8.055
Zn -10.369 12.428 10.126
O -12.138 9.768 3.189
O -11.474 7.239 6.559
O -8.685 1.937 4.174
O -5.472 1.553 -1.528
S -10.282 7.954 6.032
S -4.768 0.691 8.257
Na -8.878 9.554 8.843
O -4.636 0.712 1.330
S -12.326 9.624 10.082
O -5.824 5.984 8.579
O -7.430 6.140 3.472
O -12.208 16.292 6.018
O -7.306 2.996 6.982
O -10.626 16.239 10.807
O -3.746 2.904 4.906
S -9.312 15.658 10.319
S -12.097 8.776 2.079
Zn -1.478 2.849 1.271
Zn -6.231 12.008 5.358
O -9.366 14.204 10.268
O -10.584 9.397 5.827
O -9.418 4.124 -1.580
O -7.397 -0.080 3.584
```

Entry 4:
An optimized crystal structure of MgTe4MoW3S4, computed with PBE.

extended XYZ file:
```
13
Lattice="3.362 0.000 -0.004 -1.681 2.911 0.000 -0.043 -0.026 43.886" Properties=species:S:1:pos:R:3 pbc="T T T"
Mg 1.668 0.963 16.505
W 1.676 0.967 12.034
Te 1.676 0.967 2.224
S 1.663 0.960 22.301
S -0.007 1.937 10.526
S -0.003 1.939 13.555
W -0.019 1.930 20.797
W 1.652 0.954 28.858
Mo -0.003 1.939 4.115
S 1.661 0.958 19.283
Te -0.027 1.925 30.760
Te 1.680 0.970 6.004
Te -0.030 1.923 26.959
```

Entry 5:
An optimized crystal structure of Sr22Nb10O47, computed with PBE.

extended XYZ file:
```
79
Lattice="-2.114 1.880 -5.300 -3.315 -4.539 2.850 -19.383 28.405 20.257" Properties=species:S:1:pos:R:3 pbc="T T T"
Sr -16.358 15.145 13.643
Nb -15.657 16.551 10.632
O -6.637 3.132 -0.783
O -10.553 9.069 3.736
Nb -16.186 22.000 13.103
O -16.973 22.963 11.715
Nb -6.200 7.786 3.200
O -7.125 6.052 3.604
O -16.991 20.050 13.218
Sr -21.870 24.655 19.844
O -11.189 8.276 9.541
O -10.260 13.345 9.145
O -4.510 3.582 1.598
Sr -22.805 23.115 16.318
O -7.252 8.481 4.631
O -13.108 12.640 12.026
Sr -12.354 16.450 12.259
O -8.094 4.423 6.809
O -3.198 2.167 -2.808
Nb -15.426 18.786 13.191
O -13.564 12.813 9.474
O -14.634 20.583 12.617
O -17.692 23.519 17.199
O -17.526 16.292 10.495
Sr -7.912 6.858 6.441
O -15.422 17.614 9.173
O -12.723 16.524 6.433
Sr -11.060 6.805 4.044
Sr -17.519 20.879 16.489
O -20.717 25.801 14.494
Sr -8.693 4.660 2.438
Sr -21.434 26.309 16.677
Sr -4.754 -1.202 1.136
Sr -6.870 1.056 3.740
Sr -20.712 20.960 14.304
O -20.870 26.964 20.324
O -6.868 0.708 1.244
O -10.591 10.199 7.451
Sr -11.739 11.182 9.962
O -20.815 28.562 16.709
Sr -8.849 10.272 5.137
O -20.567 24.293 17.562
O -6.932 3.082 2.405
Nb -14.633 11.580 8.021
Nb -14.548 13.357 11.120
O -12.618 17.111 9.261
Sr -5.381 4.366 3.701
O -23.765 25.399 16.821
O -10.268 7.433 6.858
O -17.303 22.351 14.545
Nb -19.421 22.787 18.266
O -20.892 22.195 19.397
Sr -13.432 14.909 8.199
O -1.195 1.496 -0.034
O -4.378 1.180 0.442
O -14.372 17.907 11.724
O -18.069 18.490 16.717
O -15.061 18.308 14.912
O -10.895 11.815 4.520
O -4.006 -1.778 -1.024
Sr -18.633 24.425 15.096
O -13.276 12.475 6.911
Sr -12.638 9.037 6.388
Nb -9.640 8.746 8.427
O -6.814 8.520 1.536
Nb -5.885 2.345 0.786
O -7.848 9.294 7.278
Sr -10.762 12.525 6.875
Nb -2.246 1.703 -4.663
O -14.509 15.182 11.937
O -20.020 21.588 16.656
Sr -2.563 1.962 1.981
Sr -18.257 18.879 11.452
O -15.406 14.810 9.712
O -16.629 17.383 12.591
O -7.915 1.974 5.755
Sr -2.867 0.264 -1.388
O -13.650 10.105 8.643
O -20.267 23.148 13.510
```

Entry 6:
An optimized crystal structure of ScCoNiSn, computed with PBE.

extended XYZ file:
```
4
Lattice="0.000 3.122 3.122 3.122 0.000 3.122 3.122 3.122 0.000" Properties=species:S:1:pos:R:3 pbc="T T T"
Co 4.683 4.683 4.683
Ni 1.561 1.561 1.561
Sc 0.000 0.000 0.000
Sn 3.122 3.122 3.122
```

Total DFT energy (no corrections) (eV/atom)
-9.849; -5.297; -5.981; -6.542; -7.429; -6.256
Energy of formation (eV per atom)
-0.9903; -1.5817; -2.0535; -0.5093; -3.1453; -0.4480